Record 1
r²SCAN RbI, optimized geometry; raw total energy = -41.87 eV for the cell shown; spin magnetization = 0.000 μB per formula unit
1.0
4.443 0.000 0.000
0.000 4.443 0.000
0.000 0.000 4.443
Rb I
1 1
direct
0.000 0.000 0.000
0.500 0.500 0.500

=====

Record 2
r²SCAN RbSnI3, optimized geometry; raw total energy = -469.99 eV for the cell shown; spin magnetization = 0.000 μB per formula unit
1.0
10.407 0.000 0.000
0.000 4.753 0.000
0.000 0.000 17.439
Rb Sn I
4 4 12
direct
0.084 0.250 0.172
0.416 0.750 0.672
0.584 0.250 0.328
0.916 0.750 0.828
0.162 0.750 0.439
0.338 0.250 0.939
0.662 0.750 0.061
0.838 0.250 0.561
0.025 0.750 0.617
0.161 0.750 0.005
0.199 0.250 0.789
0.301 0.750 0.289
0.339 0.250 0.505
0.475 0.250 0.117
0.525 0.750 0.883
0.661 0.750 0.495
0.699 0.250 0.711
0.801 0.750 0.211
0.839 0.250 0.995
0.975 0.250 0.383

=====

Record 3
r²SCAN Rb2TeI6, optimized geometry; raw total energy = -417.28 eV for the cell shown; spin magnetization = 0.000 μB per formula unit
1.0
8.109 0.000 0.000
0.000 8.109 0.000
0.000 0.000 12.272
Rb Te I
4 2 12
direct
0.000 0.500 0.250
0.000 0.500 0.750
0.500 0.000 0.250
0.500 0.000 0.750
0.000 0.000 0.000
0.500 0.500 0.500
0.000 0.000 0.242
0.000 0.000 0.758
0.197 0.297 0.500
0.203 0.303 0.000
0.297 0.803 0.500
0.303 0.797 0.000
0.500 0.500 0.258
0.500 0.500 0.742
0.697 0.203 0.000
0.703 0.197 0.500
0.797 0.697 0.000
0.803 0.703 0.500

=====

Record 4
r²SCAN Rb4TmI6, optimized geometry; raw total energy = -510.89 eV for the cell shown; spin magnetization = 0.993 μB per formula unit
1.0
7.141 4.123 5.735
-7.141 4.123 5.735
0.000 -8.246 5.735
Rb Tm I
8 2 12
direct
0.128 0.750 0.372
0.250 0.250 0.250
0.250 0.628 0.872
0.372 0.128 0.750
0.628 0.872 0.250
0.750 0.372 0.128
0.750 0.750 0.750
0.872 0.250 0.628
0.000 0.000 0.000
0.500 0.500 0.500
0.059 0.934 0.707
0.066 0.293 0.941
0.207 0.434 0.559
0.293 0.941 0.066
0.434 0.559 0.207
0.441 0.793 0.566
0.559 0.207 0.434
0.566 0.441 0.793
0.707 0.059 0.934
0.793 0.566 0.441
0.934 0.707 0.059
0.941 0.066 0.293

=====

Record 5
r²SCAN Rb2ZnI4, optimized geometry; raw total energy = -288.43 eV for the cell shown; spin magnetization = 0.000 μB per formula unit
1.0
7.707 0.000 0.000
0.000 8.210 0.000
-3.522 0.000 9.830
Rb Zn I
4 2 8
direct
0.195 0.250 0.038
0.291 0.250 0.583
0.709 0.750 0.417
0.805 0.750 0.962
0.199 0.750 0.786
0.801 0.250 0.214
0.019 0.503 0.277
0.019 0.997 0.277
0.370 0.750 0.051
0.420 0.750 0.643
0.580 0.250 0.357
0.630 0.250 0.949
0.981 0.003 0.723
0.981 0.497 0.723

=====

Record 6
r²SCAN Rb2ZnI4, optimized geometry; raw total energy = -288.41 eV for the cell shown; spin magnetization = 0.000 μB per formula unit
1.0
7.729 0.000 0.000
0.000 8.253 0.000
-3.496 0.000 9.809
Rb Zn I
4 2 8
direct
0.195 0.000 0.038
0.293 0.999 0.584
0.707 0.499 0.416
0.805 0.500 0.962
0.199 0.508 0.785
0.801 0.008 0.215
0.014 0.752 0.277
0.023 0.257 0.279
0.368 0.512 0.050
0.420 0.510 0.643
0.580 0.010 0.357
0.632 0.012 0.950
0.977 0.757 0.721
0.986 0.252 0.723

=====

Record 7
r²SCAN ReI3, optimized geometry; raw total energy = -759.24 eV for the cell shown; spin magnetization = 0.000 μB per formula unit
1.0
9.087 0.000 0.000
0.000 11.383 0.000
-3.148 0.000 9.311
Re I
6 18
direct
0.158 0.250 0.349
0.162 0.141 0.136
0.162 0.359 0.136
0.838 0.641 0.864
0.838 0.859 0.864
0.842 0.750 0.651
0.118 0.750 0.621
0.150 0.590 0.984
0.150 0.910 0.984
0.156 0.007 0.370
0.156 0.493 0.370
0.157 0.250 0.884
0.432 0.250 0.539
0.460 0.089 0.193
0.460 0.411 0.193
0.540 0.589 0.807
0.540 0.911 0.807
0.568 0.750 0.461
0.843 0.750 0.116
0.844 0.507 0.630
0.844 0.993 0.630
0.850 0.090 0.016
0.850 0.410 0.016
0.882 0.250 0.379

=====

Record 8
r²SCAN RhI3, optimized geometry; raw total energy = -198.59 eV for the cell shown; spin magnetization = 0.000 μB per formula unit
1.0
3.433 -5.946 0.000
3.433 5.946 0.000
-2.096 0.000 6.793
Rh I
2 6
direct
0.167 0.833 0.000
0.833 0.167 0.000
0.076 0.433 0.778
0.212 0.212 0.223
0.433 0.076 0.778
0.567 0.924 0.222
0.788 0.788 0.777
0.924 0.567 0.222